No. 1
This record from the Materials Project describes an optimized crystal structure of K3NpH6O8. The functional is PBE.

Lattice parameters (Å, degrees): 7.9428 8.5929 7.8336 90.00 118.91 90.00
Space group P2_1/c (No. 14)
One atom of each set of equivalent atoms:
K (0.0000, 0.0000, 0.0000)
K (0.4032, 0.1918, 0.9438)
Np (0.0000, 0.0000, 0.5000)
H (0.1953, 0.7065, 0.8652)
H (0.3611, 0.5378, 0.8126)
H (0.4339, 0.5368, 0.1338)
O (0.1291, 0.1951, 0.5535)
O (0.1662, 0.5638, 0.2653)
O (0.2280, 0.5976, 0.9063)
O (0.4435, 0.0008, 0.2543)

For the total energy, the calculation gives -212.7 eV per cell. The formation enthalpy at 0 K is -1.981 eV/atom. The calculation puts the energy above the most stable polymorph in this dataset at 0.0 meV/atom.

---

No. 2
This record from the Materials Project describes an optimized crystal structure of SrAs2Rh2. The functional is PBE.

Lattice parameters (Å, degrees): 4.1084 4.1084 12.0239 90.00 90.00 90.00
Space group I4/mmm (No. 139)
One atom of each set of equivalent atoms:
Sr (0.0000, 0.0000, 0.0000)
As (0.0000, 0.0000, 0.3650)
Rh (0.0000, 0.5000, 0.2500)

For the total energy, the calculation gives -59.4 eV per cell. The formation enthalpy at 0 K is -0.794 eV/atom.

---

No. 3
This record from the Materials Project describes an optimized crystal structure of Ag3Ge. The functional is PBE.

Lattice parameters (Å, degrees): 6.6336 6.6336 6.6336 90.00 90.00 90.00
Space group Fm-3m (No. 225)
One atom of each set of equivalent atoms:
Ag (0.0000, 0.0000, 0.0000)
Ag (0.2500, 0.2500, 0.2500)
Ge (0.0000, 0.0000, 0.5000)

For the total energy, the calculation gives -50.9 eV per cell. The formation enthalpy at 0 K is 0.100 eV/atom.

---

No. 4
This record from the Materials Project describes an optimized crystal structure of SnH16C4N2Cl6. The functional is PBE.

Lattice parameters (Å, degrees): 7.5029 14.6935 7.3886 90.00 90.00 90.00
Space group Pnnm (No. 58)
One atom of each set of equivalent atoms:
Sn (0.0000, 0.0000, 0.0000)
H (0.0357, 0.2177, 0.5000)
H (0.0584, 0.4343, 0.0000)
H (0.0654, 0.3288, 0.1214)
H (0.1479, 0.9043, 0.3886)
H (0.1548, 0.7390, 0.3792)
C (0.1094, 0.7753, 0.5000)
C (0.1099, 0.3648, 0.0000)
N (0.1915, 0.8677, 0.5000)
Cl (0.1784, 0.8581, 0.0000)
Cl (0.1920, 0.0634, 0.2419)

For the total energy, the calculation gives -272.3 eV per cell. The formation enthalpy at 0 K is -0.582 eV/atom.

---

No. 5
This record from the Materials Project describes an optimized crystal structure of NdBi2BrO4. The functional is PBE.

Lattice parameters (Å, degrees): 3.9792 3.9792 9.3990 90.00 90.00 90.00
Space group P4/mmm (No. 123)
One atom of each set of equivalent atoms:
Nd (0.0000, 0.0000, 0.0000)
Bi (0.5000, 0.5000, 0.2727)
Br (0.0000, 0.0000, 0.5000)
O (0.0000, 0.5000, 0.1565)

For the total energy, the calculation gives -49.6 eV per cell. The formation enthalpy at 0 K is -2.294 eV/atom.

---

No. 6
This record from the Materials Project describes an optimized crystal structure of TiP4W3. The functional is PBE.

Lattice parameters (Å, degrees): 5.7523 3.2802 6.2991 90.00 90.19 90.00
Space group Pm (No. 6)
One atom of each set of equivalent atoms:
Ti (0.0000, 0.0000, 0.0000)
P (0.1802, 0.0000, 0.3785)
P (0.3048, 0.5000, 0.8717)
P (0.6814, 0.0000, 0.7433)
P (0.8012, 0.5000, 0.2423)
W (0.4807, 0.5000, 0.4978)
W (0.4984, 0.0000, 0.1198)
W (0.9797, 0.5000, 0.6210)

For the total energy, the calculation gives -73.0 eV per cell. The formation enthalpy at 0 K is -0.576 eV/atom.

---

total energy of number 4 (SnH16C4N2Cl6)? -272.3 eV per cell

---

Copy entry 4 word for word.
This record from the Materials Project describes an optimized crystal structure of SnH16C4N2Cl6. The functional is PBE.

Lattice parameters (Å, degrees): 7.5029 14.6935 7.3886 90.00 90.00 90.00
Space group Pnnm (No. 58)
One atom of each set of equivalent atoms:
Sn (0.0000, 0.0000, 0.0000)
H (0.0357, 0.2177, 0.5000)
H (0.0584, 0.4343, 0.0000)
H (0.0654, 0.3288, 0.1214)
H (0.1479, 0.9043, 0.3886)
H (0.1548, 0.7390, 0.3792)
C (0.1094, 0.7753, 0.5000)
C (0.1099, 0.3648, 0.0000)
N (0.1915, 0.8677, 0.5000)
Cl (0.1784, 0.8581, 0.0000)
Cl (0.1920, 0.0634, 0.2419)

For the total energy, the calculation gives -272.3 eV per cell. The formation enthalpy at 0 K is -0.582 eV/atom.